# 1
The following is a DFT calculation (PBE) of crystalline Nd2MgS4 at its relaxed geometry.

Output
**V**: 27.10 A^3/atom
**M_tot**: 0.00 μB per formula unit
**DFT formation energy**: -2.09 eV/atom

```
Nd2MgS4
1.0
0.000 5.746 5.746
5.746 0.000 5.746
5.746 5.746 0.000
Nd Mg S
4 2 8
direct
0.000 0.000 0.000
0.000 0.000 0.500
0.000 0.500 0.000
0.500 0.000 0.000
0.375 0.375 0.375
0.625 0.625 0.625
0.242 0.753 0.753
0.247 0.247 0.247
0.247 0.247 0.758
0.247 0.758 0.247
0.753 0.242 0.753
0.753 0.753 0.242
0.753 0.753 0.753
0.758 0.247 0.247
```

***

# 2
The following is a DFT calculation (PBE) of crystalline Nd2MgS4 at its relaxed geometry.

Output
**V**: 25.75 A^3/atom
**M_tot**: 0.00 μB per formula unit
**DFT formation energy**: -2.06 eV/atom

```
Nd2MgS4
1.0
12.958 0.000 0.000
0.000 3.973 0.000
0.000 0.000 14.004
Nd Mg S
8 4 16
direct
0.122 0.250 0.074
0.132 0.250 0.708
0.368 0.750 0.208
0.378 0.750 0.574
0.622 0.250 0.426
0.632 0.250 0.792
0.868 0.750 0.292
0.878 0.750 0.926
0.107 0.750 0.461
0.393 0.250 0.961
0.607 0.750 0.039
0.893 0.250 0.539
0.002 0.750 0.613
0.025 0.250 0.885
0.229 0.250 0.246
0.231 0.250 0.516
0.269 0.750 0.016
0.271 0.750 0.746
0.475 0.750 0.385
0.498 0.250 0.113
0.502 0.750 0.887
0.525 0.250 0.615
0.729 0.250 0.254
0.731 0.250 0.984
0.769 0.750 0.484
0.771 0.750 0.754
0.975 0.750 0.115
0.998 0.250 0.387
```

***

# 3
The following is a DFT calculation (PBE) of crystalline Nd2MgS4 at its relaxed geometry.

Output
**V**: 24.95 A^3/atom
**M_tot**: 0.00 μB per formula unit
**DFT formation energy**: -1.96 eV/atom

```
Nd2MgS4
1.0
8.232 0.000 0.000
0.000 7.238 0.000
0.000 0.000 11.727
Nd Mg S
8 4 16
direct
0.031 0.250 0.186
0.086 0.750 0.465
0.414 0.250 0.965
0.469 0.750 0.686
0.531 0.250 0.314
0.586 0.750 0.035
0.914 0.250 0.535
0.969 0.750 0.814
0.192 0.750 0.085
0.308 0.250 0.585
0.692 0.750 0.415
0.808 0.250 0.915
0.088 0.250 0.944
0.143 0.505 0.654
0.143 0.995 0.654
0.206 0.250 0.391
0.294 0.750 0.891
0.357 0.005 0.154
0.357 0.495 0.154
0.412 0.750 0.444
0.588 0.250 0.556
0.643 0.505 0.846
0.643 0.995 0.846
0.706 0.250 0.109
0.794 0.750 0.609
0.857 0.005 0.346
0.857 0.495 0.346
0.912 0.750 0.056
```

***

# 4
The following is a DFT calculation (PBE) of crystalline Nd2MgS4 at its relaxed geometry.

Output
**V**: 28.28 A^3/atom
**M_tot**: 0.00 μB per formula unit
**DFT formation energy**: -1.95 eV/atom

```
Nd2MgS4
1.0
7.624 0.000 0.000
-0.190 8.899 0.000
-1.338 -2.144 11.672
Nd Mg S
8 4 16
direct
0.131 0.447 0.335
0.139 0.973 0.346
0.252 0.130 0.997
0.364 0.294 0.658
0.636 0.706 0.342
0.748 0.870 0.003
0.861 0.027 0.654
0.869 0.553 0.665
0.252 0.611 0.993
0.360 0.793 0.686
0.640 0.207 0.314
0.748 0.389 0.007
0.096 0.411 0.105
0.103 0.914 0.117
0.200 0.545 0.603
0.204 0.006 0.609
0.299 0.720 0.378
0.351 0.229 0.394
0.385 0.834 0.892
0.401 0.360 0.888
0.599 0.640 0.112
0.615 0.166 0.108
0.649 0.771 0.606
0.701 0.280 0.622
0.796 0.994 0.391
0.800 0.455 0.397
0.897 0.086 0.883
0.904 0.589 0.895
```

***

# 5
The following is a DFT calculation (PBE) of crystalline NdMgSe3 at its relaxed geometry.

Output
**V**: 29.95 A^3/atom
**M_tot**: 0.00 μB per formula unit
**DFT formation energy**: -1.38 eV/atom

```
NdMgSe3
1.0
3.914 -6.241 0.000
3.914 6.241 0.000
-3.059 0.000 6.131
Nd Mg Se
2 2 6
direct
0.196 0.196 0.315
0.804 0.804 0.685
0.332 0.668 0.000
0.668 0.332 0.000
0.106 0.762 0.219
0.238 0.894 0.781
0.473 0.473 0.749
0.527 0.527 0.251
0.762 0.106 0.219
0.894 0.238 0.781
```

***

# 6
The following is a DFT calculation (PBE) of crystalline NdMgSe3 at its relaxed geometry.

Output
**V**: 28.08 A^3/atom
**M_tot**: 0.56 μB per formula unit
**DFT formation energy**: -1.47 eV/atom

```
NdMgSe3
1.0
7.036 0.000 0.000
-3.518 6.093 0.000
0.000 0.000 19.649
Nd Mg Se
6 6 18
direct
0.000 0.000 0.352
0.000 0.000 0.648
0.667 0.333 0.686
0.667 0.333 0.981
0.333 0.667 0.019
0.333 0.667 0.314
0.000 0.000 0.162
0.000 0.000 0.838
0.667 0.333 0.496
0.667 0.333 0.171
0.333 0.667 0.829
0.333 0.667 0.504
0.994 0.373 0.583
0.006 0.627 0.417
0.627 0.621 0.583
0.373 0.379 0.417
0.379 0.006 0.583
0.621 0.994 0.417
0.661 0.707 0.916
0.672 0.960 0.751
0.293 0.954 0.916
0.040 0.712 0.751
0.046 0.339 0.916
0.288 0.328 0.751
0.328 0.040 0.249
0.339 0.293 0.084
0.960 0.288 0.249
0.707 0.046 0.084
0.712 0.672 0.249
0.954 0.661 0.084
```

***

# 7
The following is a DFT calculation (PBE) of crystalline Nd2MgSi2 at its relaxed geometry.

Output
**V**: 23.80 A^3/atom
**DFT formation energy**: -0.65 eV/atom

```
Nd2MgSi2
1.0
7.398 0.000 0.000
0.000 7.398 0.000
0.000 0.000 4.348
Nd Mg Si
4 2 4
direct
0.181 0.319 0.000
0.319 0.819 0.000
0.681 0.181 0.000
0.819 0.681 0.000
0.000 0.000 0.500
0.500 0.500 0.500
0.115 0.615 0.500
0.385 0.115 0.500
0.615 0.885 0.500
0.885 0.385 0.500
```

***

# 8
The following is a DFT calculation (PBE) of crystalline NdMgSn at its relaxed geometry.

Output
**V**: 27.58 A^3/atom
**DFT formation energy**: -0.61 eV/atom

```
NdMgSn
1.0
4.517 0.000 0.000
0.000 4.517 0.000
0.000 0.000 16.225
Nd Mg Sn
4 4 4
direct
0.000 0.000 0.164
0.000 0.000 0.836
0.500 0.500 0.336
0.500 0.500 0.664
0.000 0.500 0.000
0.000 0.500 0.500
0.500 0.000 0.000
0.500 0.000 0.500
0.000 0.000 0.367
0.000 0.000 0.633
0.500 0.500 0.133
0.500 0.500 0.867
```